The following is a meta-GGA r2SCAN calculation of crystalline LuTaRu2 at its relaxed geometry, from the Materials Project database.

Unit cell a=4.5536 b=4.5536 c=4.5536 alpha=60.00 beta=60.00 gamma=60.00
Closest atoms and distances in Å follow each position.
Fractional coordinates of all 4 atoms:
Lu (0.0000, 0.0000, 0.0000)  8 Ru 2.79
Ta (0.5000, 0.5000, 0.5000)  8 Ru 2.79
Ru (0.2500, 0.2500, 0.2500)  4 Ta 2.79, 4 Lu 2.79
Ru (0.7500, 0.7500, 0.7500)  4 Ta 2.79, 4 Lu 2.79

Computed properties:
**Symmetry**: Fm-3m, No. 225
**M_tot**: 0.00 μB/f.u.
**Calculated total energy**: -34.959 eV/atom
**Formation energy**: -579 meV per atom

---

The following is a meta-GGA r2SCAN calculation of crystalline LuZrRu2 at its relaxed geometry, from the Materials Project database.

Unit cell a=4.6366 b=4.6366 c=4.6366 alpha=60.00 beta=60.00 gamma=60.00
Closest atoms and distances in Å follow each position.
Fractional coordinates of all 4 atoms:
Lu (0.0000, 0.0000, 0.0000)  8 Ru 2.84
Zr (0.5000, 0.5000, 0.5000)  8 Ru 2.84
Ru (0.2500, 0.2500, 0.2500)  4 Zr 2.84, 4 Lu 2.84
Ru (0.7500, 0.7500, 0.7500)  4 Zr 2.84, 4 Lu 2.84

Computed properties:
**Symmetry**: Fm-3m, No. 225
**M_tot**: 0.00 μB/f.u.
**Calculated total energy**: -28.595 eV/atom
**Formation energy**: -676 meV per atom